First-principles (PBE-GGA) data for crystalline Li3Ti4O8 at its relaxed geometry, as listed in the Materials Project.

```
data_Li3Ti4O8
_chemical_formula_sum 'Li6 Ti8 O16'
_cell_length_a 8.170
_cell_length_b 8.376
_cell_length_c 5.826
_cell_angle_alpha 90.00
_cell_angle_beta 134.25
_cell_angle_gamma 90.00
_space_group_name_H-M_alt 'C 1 2/m 1'
_space_group_IT_number 12
_space_group_name_Hall '-C 2y'
loop_
_atom_site_label
_atom_site_fract_x
_atom_site_fract_y
_atom_site_fract_z
Li1 0.000 0.000 0.000
Li2 0.250 0.250 0.000
Ti1 0.000 0.000 0.500
Ti2 0.000 0.500 0.000
Ti3 0.250 0.250 0.500
O1 0.000 0.244 0.500
O2 0.000 0.251 0.000
O3 0.244 0.000 0.962
O4 0.250 0.000 0.500
```

theoretical density	3.96	g cm⁻³
E above lowest polymorph	1.7	meV per atom
E (MP2020)	-8.183	eV/atom
total moment	0.02	μB per cell
E	-0.2873	Ha/atom


First-principles (PBE-GGA) data for crystalline NaNdB6O13 at its relaxed geometry, as listed in the Materials Project.

```
data_NaNdB6O13
_chemical_formula_sum 'Na2 Nd2 B12 O26'
_cell_length_a 6.758
_cell_length_b 7.410
_cell_length_c 10.473
_cell_angle_alpha 87.33
_cell_angle_beta 74.72
_cell_angle_gamma 77.78
_space_group_name_H-M_alt 'P -1'
_space_group_IT_number 2
_space_group_name_Hall '-P 1'
loop_
_atom_site_label
_atom_site_fract_x
_atom_site_fract_y
_atom_site_fract_z
Na1 0.164 0.013 0.141
Nd1 0.282 0.257 0.443
B1 0.113 0.465 0.161
B2 0.150 0.249 0.756
B3 0.188 0.649 0.328
B4 0.223 0.752 0.547
B5 0.347 0.958 0.835
B6 0.442 0.849 0.324
O1 0.016 0.825 0.628
O2 0.028 0.246 0.657
O3 0.052 0.400 0.850
O4 0.161 0.071 0.829
O5 0.191 0.315 0.077
O6 0.215 0.599 0.461
O7 0.216 0.468 0.261
O8 0.317 0.901 0.463
O9 0.331 0.760 0.255
O10 0.345 0.845 0.941
O11 0.357 0.263 0.669
O12 0.360 0.690 0.631
O13 0.464 0.033 0.259
```

theoretical density	2.96	g cm⁻³
E above lowest polymorph	0.0	meV per atom
E (MP2020)	-7.788	eV/atom
total moment	8.00	μB per cell
E	-0.2706	Ha/atom


First-principles (PBE-GGA) data for crystalline K6Ti2O7 at its relaxed geometry, as listed in the Materials Project.

```
data_K6Ti2O7
_chemical_formula_sum 'K12 Ti4 O14'
_cell_length_a 6.642
_cell_length_b 9.385
_cell_length_c 11.488
_cell_angle_alpha 90.00
_cell_angle_beta 123.40
_cell_angle_gamma 90.00
_space_group_name_H-M_alt 'P 1 21/c 1'
_space_group_IT_number 14
_space_group_name_Hall '-P 2ybc'
loop_
_atom_site_label
_atom_site_fract_x
_atom_site_fract_y
_atom_site_fract_z
K1 0.058 0.156 0.434
K2 0.207 0.528 0.457
K3 0.408 0.205 0.279
Ti1 0.309 0.644 0.868
O1 0.038 0.675 0.868
O2 0.235 0.597 0.695
O3 0.499 0.199 0.073
O4 0.500 0.000 0.500
```

theoretical density	2.46	g cm⁻³
E (MP2020)	-6.358	eV/atom
E	-0.2219	Ha/atom


First-principles (PBE-GGA) data for crystalline Ag4PIO4 at its relaxed geometry, as listed in the Materials Project.

```
data_Ag4PIO4
_chemical_formula_sum 'Ag16 P4 I4 O16'
_cell_length_a 9.316
_cell_length_b 6.928
_cell_length_c 11.315
_cell_angle_alpha 90.00
_cell_angle_beta 108.52
_cell_angle_gamma 90.00
_space_group_name_H-M_alt 'P 1 21/m 1'
_space_group_IT_number 11
_space_group_name_Hall '-P 2yb'
loop_
_atom_site_label
_atom_site_fract_x
_atom_site_fract_y
_atom_site_fract_z
Ag1 0.006 0.038 0.282
Ag2 0.290 0.018 0.040
Ag3 0.314 0.250 0.280
Ag4 0.356 0.036 0.576
Ag5 0.379 0.250 0.808
P1 0.307 0.750 0.299
P2 0.363 0.750 0.824
I1 0.052 0.250 0.070
I2 0.096 0.250 0.524
O1 0.132 0.750 0.270
O2 0.267 0.564 0.826
O3 0.351 0.750 0.175
O4 0.377 0.565 0.375
O5 0.408 0.750 0.701
O6 0.494 0.250 0.058
```

theoretical density	6.27	g cm⁻³
E (MP2020)	-5.000	eV/atom
total moment	0.00	μB per cell
E	-0.1737	Ha/atom


In order of appearance, formation energy = -3.06, -2.53, -2.55, -1.19 eV/atom.